This record from the Materials Project database describes crystalline LiVPO4F at its relaxed geometry. The functional is PBE+U.

Values from the calculation:
The value obtained for the total magnetization is 2.0 μB/f.u.

Lattice parameters (Å, degrees): 6.359 10.745 11.006 89.84 89.95 89.76
Fractional coordinates of all 64 atoms:
O 0.762 0.266 0.707
O 0.444 0.985 0.677
O 0.261 0.737 0.286
O 0.250 0.975 0.877
O 0.250 0.490 0.623
O 0.445 0.682 0.489
O 0.228 0.176 0.755
O 0.452 0.180 0.026
O 0.046 0.680 0.473
O 0.553 0.025 0.319
O 0.242 0.237 0.216
O 0.048 0.979 0.678
O 0.250 0.881 0.468
O 0.743 0.519 0.377
O 0.947 0.022 0.321
O 0.061 0.480 0.824
O 0.055 0.182 0.014
O 0.945 0.528 0.179
O 0.251 0.382 0.033
O 0.750 0.327 0.249
O 0.751 0.825 0.249
O 0.456 0.475 0.822
O 0.947 0.318 0.504
O 0.554 0.525 0.174
O 0.751 0.619 0.962
O 0.552 0.316 0.509
O 0.274 0.676 0.762
O 0.749 0.116 0.530
O 0.729 0.783 0.790
O 0.950 0.817 0.982
O 0.548 0.817 0.993
O 0.753 0.017 0.121
P 0.748 0.468 0.242
P 0.751 0.966 0.257
P 0.753 0.260 0.573
P 0.250 0.241 0.079
P 0.250 0.739 0.424
P 0.243 0.039 0.743
P 0.259 0.535 0.761
P 0.745 0.761 0.925
Li 0.491 0.241 0.320
Li 0.004 0.241 0.325
Li 0.246 0.772 0.908
Li 0.522 0.742 0.665
Li 0.506 0.726 0.189
Li 0.001 0.724 0.197
Li 0.753 0.957 0.729
Li 0.990 0.276 0.816
F 0.746 0.537 0.609
F 0.751 0.035 0.887
F 0.762 0.382 0.987
F 0.255 0.621 0.014
F 0.243 0.118 0.479
F 0.741 0.884 0.523
F 0.247 0.460 0.392
F 0.250 0.961 0.109
V 0.999 0.996 0.498
V 0.498 0.497 0.501
V 0.499 0.005 0.003
V 0.998 0.502 0.501
V 0.001 0.004 0.003
V 0.505 0.493 0.995
V 0.003 0.500 0.001
V 0.494 0.002 0.496


This record from the Materials Project database describes crystalline Li2MnCo3O8 at its relaxed geometry. The functional is PBE+U.

Values from the calculation:
The value obtained for the total magnetization is 4.0 μB/f.u.

Lattice parameters (Å, degrees): 5.780 5.948 10.154 73.69 90.12 60.93
Fractional coordinates of all 28 atoms:
Li 0.014 0.500 0.500
Li 0.987 0.500 0.000
Li 0.514 0.500 0.500
Li 0.487 0.499 0.000
Mn 0.513 0.000 0.500
Mn 0.988 0.000 0.000
O 0.378 0.208 0.123
O 0.090 0.790 0.875
O 0.159 0.204 0.392
O 0.912 0.208 0.623
O 0.630 0.207 0.892
O 0.119 0.792 0.378
O 0.870 0.796 0.608
O 0.623 0.787 0.376
O 0.665 0.204 0.392
O 0.410 0.212 0.624
O 0.139 0.204 0.893
O 0.342 0.793 0.108
O 0.589 0.793 0.877
O 0.365 0.795 0.608
O 0.877 0.210 0.125
O 0.834 0.796 0.107
Co 0.251 0.998 0.750
Co 0.487 0.000 0.000
Co 0.749 0.999 0.251
Co 0.748 0.003 0.750
Co 0.249 0.001 0.250
Co 0.013 0.000 0.500


This record from the Materials Project database describes crystalline LiMnPH12O10 at its relaxed geometry. The functional is PBE+U.

Values from the calculation:
The value obtained for the total magnetization is 5.0 μB/f.u. The calculation puts the maximum piezoelectric response at 0.908 C/m².

Lattice parameters (Å, degrees): 6.176 6.875 11.010 90.00 90.00 90.00
Fractional coordinates of all 50 atoms:
O 0.125 0.185 0.314
O 0.993 0.000 0.128
O 0.954 0.500 0.221
O 0.875 0.315 0.814
O 0.527 0.699 0.297
O 0.287 0.262 0.531
O 0.875 0.685 0.814
O 0.046 0.000 0.721
O 0.125 0.815 0.314
O 0.713 0.762 0.031
O 0.298 0.500 0.060
O 0.473 0.801 0.797
O 0.702 0.000 0.560
O 0.473 0.199 0.797
O 0.772 0.000 0.323
O 0.228 0.500 0.823
O 0.287 0.738 0.531
O 0.527 0.301 0.297
O 0.713 0.238 0.031
O 0.007 0.500 0.628
H 0.171 0.654 0.572
H 0.829 0.154 0.072
H 0.627 0.184 0.306
H 0.375 0.245 0.292
H 0.988 0.881 0.764
H 0.162 0.500 0.109
H 0.838 0.000 0.609
H 0.784 0.720 0.952
H 0.171 0.346 0.572
H 0.373 0.316 0.806
H 0.741 0.000 0.472
H 0.216 0.220 0.452
H 0.375 0.755 0.292
H 0.012 0.381 0.264
H 0.829 0.846 0.072
H 0.259 0.500 0.972
H 0.625 0.255 0.792
H 0.625 0.745 0.792
H 0.784 0.280 0.952
H 0.988 0.119 0.764
H 0.373 0.684 0.806
H 0.012 0.619 0.264
H 0.627 0.816 0.306
H 0.216 0.780 0.452
P 0.993 0.500 0.767
P 0.007 0.000 0.267
Mn 0.384 0.000 0.644
Mn 0.616 0.500 0.144
Li 0.499 0.000 0.936
Li 0.501 0.500 0.436


This record from the Materials Project database describes crystalline CoPO4 at its relaxed geometry. The functional is PBE+U.

Values from the calculation:
The value obtained for the total magnetization is 0.0 μB/f.u.

Lattice parameters (Å, degrees): 5.296 6.411 7.770 90.00 90.00 90.00
Fractional coordinates of all 24 atoms:
O 0.000 0.551 0.763
O 0.000 0.949 0.763
O 0.500 0.051 0.736
O 0.257 0.250 0.962
O 0.243 0.750 0.538
O 0.500 0.551 0.264
O 0.743 0.750 0.038
O 0.500 0.449 0.736
O 0.257 0.750 0.038
O 0.000 0.051 0.237
O 0.757 0.250 0.462
O 0.743 0.250 0.962
O 0.000 0.449 0.237
O 0.500 0.949 0.264
O 0.243 0.250 0.462
O 0.757 0.750 0.538
Co 0.000 0.000 0.000
Co 0.000 0.500 0.000
Co 0.500 0.000 0.500
Co 0.500 0.500 0.500
P 0.500 0.750 0.151
P 0.500 0.250 0.849
P 0.000 0.750 0.651
P 0.000 0.250 0.349


This record from the Materials Project database describes crystalline SrCoO3 at its relaxed geometry. The functional is PBE+U.

Lattice parameters (Å, degrees): 3.900 5.526 5.526 90.01 90.00 90.01
Fractional coordinates of all 10 atoms:
Sr 0.500 0.500 0.000
Sr 0.500 0.000 0.500
O 0.000 0.729 0.729
O 0.000 0.229 0.771
O 0.000 0.271 0.271
O 0.500 0.000 0.000
O 0.500 0.500 0.500
O 0.000 0.771 0.229
Co 0.000 0.000 0.000
Co 0.000 0.500 0.500


This record from the Materials Project database describes crystalline LiMnBO4 at its relaxed geometry. The functional is PBE+U.

Values from the calculation:
The value obtained for the total magnetization is 3.0 μB/f.u.

Lattice parameters (Å, degrees): 4.359 5.886 9.973 90.00 90.00 90.00
Fractional coordinates of all 28 atoms:
O 0.284 0.458 0.144
O 0.716 0.958 0.856
O 0.749 0.750 0.058
O 0.216 0.042 0.644
O 0.216 0.458 0.644
O 0.249 0.250 0.442
O 0.251 0.250 0.942
O 0.751 0.750 0.558
O 0.284 0.042 0.144
O 0.784 0.958 0.356
O 0.784 0.542 0.356
O 0.251 0.750 0.921
O 0.751 0.250 0.579
O 0.749 0.250 0.079
O 0.249 0.750 0.421
O 0.716 0.542 0.856
B 0.412 0.250 0.087
B 0.588 0.750 0.913
B 0.912 0.750 0.413
B 0.088 0.250 0.587
Li 0.017 0.750 0.724
Li 0.517 0.250 0.776
Li 0.983 0.250 0.276
Li 0.483 0.750 0.224
Mn 0.500 0.500 0.500
Mn 0.000 0.500 0.000
Mn 0.500 0.000 0.500
Mn 0.000 0.000 0.000


This record from the Materials Project database describes crystalline Ba6Nb9CoO30 at its relaxed geometry. The functional is PBE+U.

Values from the calculation:
The value obtained for the total magnetization is 0.0 μB/f.u.

Lattice parameters (Å, degrees): 12.799 12.799 4.059 90.00 90.00 90.27
Fractional coordinates of all 46 atoms:
O 0.643 0.065 0.493
O 0.434 0.140 0.493
O 0.935 0.357 0.493
O 0.000 0.000 0.995
O 0.065 0.643 0.493
O 0.582 0.205 0.992
O 0.782 0.782 0.491
O 0.719 0.281 0.492
O 0.994 0.155 0.500
O 0.218 0.218 0.491
O 0.795 0.418 0.992
O 0.505 0.657 0.497
O 0.140 0.434 0.493
O 0.845 0.006 0.500
O 0.281 0.719 0.492
O 0.081 0.295 0.993
O 0.418 0.795 0.992
O 0.357 0.935 0.493
O 0.006 0.845 0.500
O 0.495 0.343 0.497
O 0.566 0.860 0.493
O 0.860 0.566 0.493
O 0.500 0.500 0.998
O 0.205 0.582 0.992
O 0.657 0.505 0.497
O 0.919 0.705 0.993
O 0.705 0.919 0.993
O 0.155 0.994 0.500
O 0.343 0.495 0.497
O 0.295 0.081 0.993
Ba 0.824 0.176 0.995
Ba 0.500 0.000 0.005
Ba 0.000 0.500 0.005
Ba 0.343 0.343 0.002
Ba 0.176 0.824 0.995
Ba 0.657 0.657 0.002
Co 0.500 0.500 0.497
Nb 0.924 0.713 0.526
Nb 0.713 0.924 0.526
Nb 0.076 0.287 0.526
Nb 0.427 0.781 0.512
Nb 0.000 0.000 0.451
Nb 0.287 0.076 0.526
Nb 0.219 0.573 0.512
Nb 0.781 0.427 0.512
Nb 0.573 0.219 0.512


This record from the Materials Project database describes crystalline RbMnP2O7 at its relaxed geometry. The functional is PBE+U.

Values from the calculation:
The value obtained for the total magnetization is 4.0 μB/f.u.

Lattice parameters (Å, degrees): 9.877 7.490 8.810 74.61 90.00 90.00
Fractional coordinates of all 44 atoms:
P 0.595 0.868 0.332
P 0.869 0.566 0.690
P 0.405 0.132 0.668
P 0.905 0.868 0.832
P 0.095 0.132 0.168
P 0.369 0.434 0.810
P 0.631 0.566 0.190
P 0.131 0.434 0.310
O 0.590 0.855 0.504
O 0.104 0.327 0.478
O 0.503 0.991 0.773
O 0.410 0.145 0.496
O 0.910 0.855 0.004
O 0.237 0.086 0.245
O 0.450 0.331 0.695
O 0.896 0.673 0.522
O 0.737 0.914 0.255
O 0.424 0.634 0.764
O 0.090 0.145 0.996
O 0.763 0.914 0.755
O 0.396 0.327 0.978
O 0.282 0.445 0.256
O 0.076 0.634 0.264
O 0.997 0.991 0.273
O 0.950 0.669 0.805
O 0.576 0.366 0.236
O 0.604 0.673 0.022
O 0.263 0.086 0.745
O 0.550 0.669 0.305
O 0.782 0.555 0.244
O 0.718 0.555 0.744
O 0.003 0.009 0.727
O 0.218 0.445 0.756
O 0.924 0.366 0.736
O 0.050 0.331 0.195
O 0.497 0.009 0.227
Rb 0.688 0.181 0.956
Rb 0.188 0.819 0.544
Rb 0.312 0.819 0.044
Rb 0.812 0.181 0.456
Mn 0.601 0.764 0.756
Mn 0.101 0.236 0.744
Mn 0.399 0.236 0.244
Mn 0.899 0.764 0.256


no.,energy of formation from the pure elements (eV/atom)
1,-2.7766
2,-1.5894
3,-1.6223
4,-2.0892
5,-1.9871
6,-2.3059
7,-3.0760
8,-2.5821